Record 1
Material: Na6Mg16Nb8Si3S33O144
Method: DFT, GGA-PBE
State: relaxed

CIF file:
```
data_Na6Mg16Nb8Si3S33O144
_chemical_formula_sum 'Na6 Mg16 Nb8 Si3 S33 O144'
_cell_length_a 8.740
_cell_length_b 15.142
_cell_length_c 22.639
_cell_angle_alpha 89.95
_cell_angle_beta 89.95
_cell_angle_gamma 89.99
_symmetry_space_group_name_H-M 'P 1'
_symmetry_Int_Tables_number 1
_symmetry_space_group_name_Hall 'P 1'
loop_
_atom_site_label
_atom_site_type_symbol
_atom_site_fract_x
_atom_site_fract_y
_atom_site_fract_z
Na1 Na 0.000 0.000 0.000
Na2 Na 0.002 0.000 0.504
Na3 Na 0.008 0.667 0.161
Na4 Na 0.495 0.161 0.666
Na5 Na 0.498 0.505 0.497
Na6 Na 0.500 0.501 0.004
Mg1 Mg 0.003 0.334 0.187
Mg2 Mg 0.003 0.998 0.350
Mg3 Mg 0.004 0.998 0.147
Mg4 Mg 0.005 0.666 0.022
Mg5 Mg 0.006 0.001 0.850
Mg6 Mg 0.006 0.667 0.521
Mg7 Mg 0.010 0.000 0.647
Mg8 Mg 0.497 0.837 0.688
Mg9 Mg 0.498 0.829 0.187
Mg10 Mg 0.499 0.161 0.815
Mg11 Mg 0.499 0.163 0.521
Mg12 Mg 0.499 0.504 0.146
Mg13 Mg 0.500 0.502 0.648
Mg14 Mg 0.500 0.504 0.351
Mg15 Mg 0.501 0.498 0.852
Mg16 Mg 0.502 0.164 0.020
Nb1 Nb 0.002 0.330 0.979
Nb2 Nb 0.004 0.669 0.809
Nb3 Nb 0.006 0.329 0.478
Nb4 Nb 0.012 0.668 0.311
Nb5 Nb 0.013 0.326 0.689
Nb6 Nb 0.496 0.828 0.478
Nb7 Nb 0.501 0.166 0.306
Nb8 Nb 0.501 0.831 0.982
Si1 Si 0.155 0.179 0.583
Si2 Si 0.293 0.658 0.420
Si3 Si 0.350 0.682 0.088
S1 S 0.138 0.144 0.250
S2 S 0.144 0.812 0.918
S3 S 0.147 0.479 0.584
S4 S 0.149 0.522 0.917
S5 S 0.151 0.858 0.250
S6 S 0.209 0.831 0.585
S7 S 0.214 0.495 0.250
S8 S 0.215 0.163 0.917
S9 S 0.293 0.999 0.750
S10 S 0.294 0.331 0.085
S11 S 0.354 0.023 0.417
S12 S 0.357 0.980 0.085
S13 S 0.364 0.311 0.417
S14 S 0.365 0.355 0.750
S15 S 0.365 0.644 0.750
S16 S 0.641 0.311 0.917
S17 S 0.644 0.645 0.250
S18 S 0.648 0.978 0.584
S19 S 0.650 0.022 0.917
S20 S 0.650 0.687 0.585
S21 S 0.651 0.359 0.250
S22 S 0.711 0.334 0.584
S23 S 0.713 0.664 0.918
S24 S 0.716 0.995 0.250
S25 S 0.788 0.499 0.750
S26 S 0.789 0.163 0.417
S27 S 0.794 0.833 0.085
S28 S 0.851 0.141 0.750
S29 S 0.851 0.859 0.749
S30 S 0.854 0.187 0.085
S31 S 0.854 0.523 0.418
S32 S 0.857 0.478 0.085
S33 S 0.860 0.812 0.418
O1 O 0.061 0.091 0.587
O2 O 0.071 0.239 0.526
O3 O 0.071 0.765 0.257
O4 O 0.072 0.563 0.577
O5 O 0.073 0.893 0.197
O6 O 0.075 0.433 0.924
O7 O 0.076 0.563 0.863
O8 O 0.076 0.770 0.968
O9 O 0.077 0.434 0.637
O10 O 0.078 0.900 0.908
O11 O 0.079 0.104 0.304
O12 O 0.083 0.234 0.242
O13 O 0.108 0.579 0.258
O14 O 0.109 0.088 0.910
O15 O 0.109 0.250 0.639
O16 O 0.109 0.422 0.242
O17 O 0.111 0.246 0.927
O18 O 0.115 0.754 0.575
O19 O 0.117 0.907 0.304
O20 O 0.117 0.912 0.588
O21 O 0.118 0.420 0.530
O22 O 0.118 0.754 0.863
O23 O 0.119 0.576 0.969
O24 O 0.128 0.089 0.197
O25 O 0.171 0.677 0.075
O26 O 0.181 0.681 0.360
O27 O 0.185 0.651 0.475
O28 O 0.186 0.345 0.029
O29 O 0.186 0.653 0.761
O30 O 0.188 0.347 0.741
O31 O 0.188 0.985 0.088
O32 O 0.190 0.011 0.408
O33 O 0.190 0.319 0.423
O34 O 0.194 0.318 0.136
O35 O 0.196 0.015 0.697
O36 O 0.198 0.986 0.803
O37 O 0.302 0.184 0.864
O38 O 0.303 0.517 0.197
O39 O 0.304 0.485 0.303
O40 O 0.306 0.152 0.970
O41 O 0.309 0.818 0.636
O42 O 0.312 0.844 0.243
O43 O 0.313 0.484 0.590
O44 O 0.314 0.510 0.908
O45 O 0.314 0.820 0.922
O46 O 0.316 0.154 0.261
O47 O 0.316 0.846 0.530
O48 O 0.335 0.184 0.578
O49 O 0.375 0.588 0.698
O50 O 0.380 0.409 0.803
O51 O 0.382 0.077 0.469
O52 O 0.384 0.253 0.363
O53 O 0.386 0.253 0.073
O54 O 0.386 0.411 0.088
O55 O 0.386 0.749 0.140
O56 O 0.387 0.921 0.029
O57 O 0.390 0.921 0.742
O58 O 0.391 0.080 0.757
O59 O 0.396 0.753 0.427
O60 O 0.407 0.579 0.409
O61 O 0.421 0.733 0.742
O62 O 0.423 0.265 0.756
O63 O 0.425 0.603 0.804
O64 O 0.426 0.065 0.073
O65 O 0.426 0.395 0.696
O66 O 0.426 0.398 0.408
O67 O 0.426 0.939 0.136
O68 O 0.427 0.064 0.363
O69 O 0.427 0.269 0.469
O70 O 0.430 0.935 0.424
O71 O 0.433 0.738 0.026
O72 O 0.439 0.589 0.085
O73 O 0.572 0.391 0.197
O74 O 0.574 0.599 0.589
O75 O 0.575 0.731 0.529
O76 O 0.576 0.264 0.262
O77 O 0.578 0.271 0.970
O78 O 0.578 0.937 0.636
O79 O 0.579 0.060 0.864
O80 O 0.579 0.066 0.575
O81 O 0.579 0.932 0.926
O82 O 0.581 0.402 0.910
O83 O 0.582 0.604 0.303
O84 O 0.585 0.734 0.242
O85 O 0.610 0.923 0.242
O86 O 0.613 0.080 0.261
O87 O 0.614 0.588 0.908
O88 O 0.616 0.922 0.529
O89 O 0.617 0.413 0.590
O90 O 0.619 0.742 0.636
O91 O 0.620 0.408 0.304
O92 O 0.620 0.746 0.922
O93 O 0.621 0.254 0.576
O94 O 0.623 0.076 0.970
O95 O 0.625 0.258 0.864
O96 O 0.630 0.588 0.197
O97 O 0.687 0.158 0.757
O98 O 0.689 0.821 0.425
O99 O 0.690 0.481 0.088
O100 O 0.691 0.840 0.742
O101 O 0.692 0.180 0.073
O102 O 0.692 0.180 0.363
O103 O 0.692 0.508 0.408
O104 O 0.694 0.848 0.029
O105 O 0.695 0.152 0.470
O106 O 0.698 0.820 0.137
O107 O 0.699 0.484 0.803
O108 O 0.699 0.516 0.697
O109 O 0.806 0.018 0.197
O110 O 0.806 0.986 0.304
O111 O 0.809 0.652 0.969
O112 O 0.810 0.349 0.529
O113 O 0.812 0.321 0.637
O114 O 0.812 0.341 0.242
O115 O 0.812 0.679 0.573
O116 O 0.813 0.679 0.863
O117 O 0.815 0.983 0.589
O118 O 0.817 0.009 0.910
O119 O 0.817 0.321 0.927
O120 O 0.820 0.654 0.259
O121 O 0.880 0.090 0.696
O122 O 0.880 0.576 0.470
O123 O 0.881 0.756 0.363
O124 O 0.883 0.908 0.804
O125 O 0.885 0.243 0.136
O126 O 0.885 0.247 0.423
O127 O 0.886 0.754 0.074
O128 O 0.888 0.914 0.088
O129 O 0.891 0.088 0.409
O130 O 0.891 0.420 0.029
O131 O 0.892 0.422 0.741
O132 O 0.892 0.578 0.760
O133 O 0.924 0.235 0.740
O134 O 0.925 0.564 0.074
O135 O 0.925 0.771 0.470
O136 O 0.925 0.901 0.408
O137 O 0.926 0.108 0.803
O138 O 0.927 0.436 0.136
O139 O 0.927 0.562 0.364
O140 O 0.928 0.764 0.762
O141 O 0.929 0.232 0.030
O142 O 0.930 0.100 0.088
O143 O 0.930 0.891 0.697
O144 O 0.931 0.433 0.426
```

Results
Energy = -6.521 eV per atom
Total energy after the MP2020 corrections = -6.992 eV per atom
Calculated density = 2.61 Mg/m³
Formation energy from the elements = -225 kJ per mole of atoms

---

Record 2
Material: Na24Mg10Nb2Si9S9O72
Method: DFT, GGA-PBE
State: relaxed

CIF file:
```
data_Na24Mg10Nb2Si9S9O72
_chemical_formula_sum 'Na24 Mg10 Nb2 Si9 S9 O72'
_cell_length_a 9.121
_cell_length_b 9.144
_cell_length_c 22.219
_cell_angle_alpha 89.87
_cell_angle_beta 89.91
_cell_angle_gamma 60.15
_symmetry_space_group_name_H-M 'P 1'
_symmetry_Int_Tables_number 1
_symmetry_space_group_name_Hall 'P 1'
loop_
_atom_site_label
_atom_site_type_symbol
_atom_site_fract_x
_atom_site_fract_y
_atom_site_fract_z
Na1 Na 0.000 0.000 0.000
Na2 Na 0.001 0.638 0.492
Na3 Na 0.029 0.306 0.571
Na4 Na 0.031 0.946 0.313
Na5 Na 0.033 0.664 0.821
Na6 Na 0.039 0.305 0.077
Na7 Na 0.055 0.962 0.656
Na8 Na 0.071 0.612 0.157
Na9 Na 0.352 0.344 0.660
Na10 Na 0.358 0.953 0.158
Na11 Na 0.369 0.005 0.479
Na12 Na 0.375 0.262 0.995
Na13 Na 0.377 0.617 0.740
Na14 Na 0.379 0.635 0.234
Na15 Na 0.417 0.937 0.826
Na16 Na 0.425 0.283 0.314
Na17 Na 0.654 0.308 0.817
Na18 Na 0.657 0.679 0.311
Na19 Na 0.686 0.336 0.159
Na20 Na 0.695 0.968 0.902
Na21 Na 0.697 0.978 0.394
Na22 Na 0.699 0.608 0.652
Na23 Na 0.740 0.639 0.995
Na24 Na 0.743 0.264 0.485
Mg1 Mg 0.040 0.310 0.920
Mg2 Mg 0.041 0.294 0.412
Mg3 Mg 0.372 0.636 0.097
Mg4 Mg 0.373 0.626 0.592
Mg5 Mg 0.378 0.625 0.885
Mg6 Mg 0.378 0.636 0.381
Mg7 Mg 0.697 0.977 0.253
Mg8 Mg 0.700 0.970 0.072
Mg9 Mg 0.706 0.971 0.757
Mg10 Mg 0.718 0.966 0.562
Nb1 Nb 0.025 0.324 0.722
Nb2 Nb 0.035 0.289 0.218
Si1 Si 0.338 0.005 0.327
Si2 Si 0.338 0.297 0.827
Si3 Si 0.408 0.265 0.155
Si4 Si 0.705 0.263 0.655
Si5 Si 0.706 0.675 0.156
Si6 Si 0.734 0.608 0.828
Si7 Si 0.740 0.299 0.328
Si8 Si 0.997 0.962 0.155
Si9 Si 0.999 0.681 0.655
S1 S 0.039 0.012 0.825
S2 S 0.039 0.593 0.326
S3 S 0.080 0.636 0.987
S4 S 0.081 0.925 0.490
S5 S 0.368 0.928 0.987
S6 S 0.369 0.342 0.490
S7 S 0.411 0.969 0.654
S8 S 0.663 0.640 0.490
S9 S 0.667 0.339 0.987
O1 O 0.014 0.117 0.878
O2 O 0.014 0.514 0.381
O3 O 0.015 0.139 0.163
O4 O 0.025 0.479 0.663
O5 O 0.062 0.098 0.488
O6 O 0.062 0.480 0.985
O7 O 0.065 0.092 0.769
O8 O 0.066 0.486 0.272
O9 O 0.163 0.655 0.932
O10 O 0.163 0.821 0.437
O11 O 0.182 0.616 0.041
O12 O 0.184 0.843 0.545
O13 O 0.190 0.651 0.649
O14 O 0.190 0.809 0.148
O15 O 0.193 0.843 0.829
O16 O 0.194 0.608 0.332
O17 O 0.206 0.114 0.269
O18 O 0.208 0.319 0.766
O19 O 0.211 0.099 0.984
O20 O 0.211 0.329 0.487
O21 O 0.215 0.286 0.166
O22 O 0.237 0.123 0.660
O23 O 0.253 0.261 0.883
O24 O 0.258 0.121 0.387
O25 O 0.335 0.827 0.327
O26 O 0.338 0.476 0.825
O27 O 0.349 0.444 0.545
O28 O 0.350 0.844 0.041
O29 O 0.378 0.455 0.147
O30 O 0.387 0.826 0.932
O31 O 0.388 0.820 0.647
O32 O 0.393 0.423 0.437
O33 O 0.474 0.149 0.094
O34 O 0.487 0.000 0.600
O35 O 0.513 0.942 0.709
O36 O 0.520 0.168 0.495
O37 O 0.522 0.947 0.989
O38 O 0.524 0.134 0.817
O39 O 0.525 0.185 0.214
O40 O 0.526 0.979 0.319
O41 O 0.547 0.642 0.149
O42 O 0.550 0.458 0.650
O43 O 0.551 0.619 0.825
O44 O 0.554 0.469 0.326
O45 O 0.560 0.658 0.437
O46 O 0.564 0.423 0.933
O47 O 0.583 0.616 0.545
O48 O 0.587 0.443 0.041
O49 O 0.671 0.181 0.714
O50 O 0.675 0.790 0.214
O51 O 0.676 0.797 0.494
O52 O 0.683 0.169 0.990
O53 O 0.724 0.788 0.817
O54 O 0.733 0.127 0.320
O55 O 0.746 0.150 0.595
O56 O 0.753 0.742 0.094
O57 O 0.838 0.476 0.766
O58 O 0.838 0.489 0.487
O59 O 0.842 0.317 0.983
O60 O 0.845 0.327 0.269
O61 O 0.850 0.277 0.388
O62 O 0.857 0.511 0.883
O63 O 0.881 0.483 0.166
O64 O 0.881 0.743 0.596
O65 O 0.882 0.013 0.094
O66 O 0.887 0.994 0.818
O67 O 0.888 0.272 0.664
O68 O 0.888 0.761 0.321
O69 O 0.907 0.789 0.989
O70 O 0.908 0.942 0.494
O71 O 0.914 0.790 0.715
O72 O 0.916 0.931 0.215
```

Results
Energy = -6.204 eV per atom
Total energy after the MP2020 corrections = -6.597 eV per atom
Calculated density = 2.76 Mg/m³
Formation energy from the elements = -246 kJ per mole of atoms

---

Record 3
Material: Na9Mg5Nb7Si9S9O72
Method: DFT, GGA-PBE
State: relaxed

CIF file:
```
data_Na9Mg5Nb7Si9S9O72
_chemical_formula_sum 'Na9 Mg5 Nb7 Si9 S9 O72'
_cell_length_a 8.885
_cell_length_b 8.903
_cell_length_c 22.760
_cell_angle_alpha 90.00
_cell_angle_beta 89.74
_cell_angle_gamma 60.11
_symmetry_space_group_name_H-M 'P 1'
_symmetry_Int_Tables_number 1
_symmetry_space_group_name_Hall 'P 1'
loop_
_atom_site_label
_atom_site_type_symbol
_atom_site_fract_x
_atom_site_fract_y
_atom_site_fract_z
Na1 Na 0.000 0.000 0.000
Na2 Na 0.001 0.006 0.494
Na3 Na 0.291 0.685 0.575
Na4 Na 0.311 0.347 0.667
Na5 Na 0.315 0.336 0.159
Na6 Na 0.342 0.016 0.741
Na7 Na 0.648 0.681 0.333
Na8 Na 0.651 0.675 0.829
Na9 Na 0.963 0.339 0.915
Mg1 Mg 0.009 0.998 0.638
Mg2 Mg 0.012 0.999 0.137
Mg3 Mg 0.328 0.334 0.803
Mg4 Mg 0.650 0.681 0.465
Mg5 Mg 0.657 0.669 0.972
Nb1 Nb 0.011 0.004 0.840
Nb2 Nb 0.013 0.971 0.345
Nb3 Nb 0.320 0.327 0.012
Nb4 Nb 0.335 0.330 0.301
Nb5 Nb 0.341 0.319 0.509
Nb6 Nb 0.657 0.672 0.678
Nb7 Nb 0.673 0.664 0.179
Si1 Si 0.005 0.709 0.235
Si2 Si 0.283 0.000 0.236
Si3 Si 0.286 0.695 0.734
Si4 Si 0.343 0.613 0.408
Si5 Si 0.346 0.029 0.902
Si6 Si 0.366 0.958 0.570
Si7 Si 0.631 0.035 0.403
Si8 Si 0.940 0.370 0.067
Si9 Si 0.999 0.297 0.735
S1 S 0.041 0.625 0.906
S2 S 0.042 0.331 0.406
S3 S 0.375 0.663 0.071
S4 S 0.619 0.329 0.905
S5 S 0.666 0.955 0.072
S6 S 0.667 0.375 0.571
S7 S 0.711 0.286 0.238
S8 S 0.713 0.998 0.738
S9 S 0.950 0.666 0.571
O1 O 0.023 0.801 0.902
O2 O 0.024 0.168 0.684
O3 O 0.027 0.796 0.178
O4 O 0.030 0.172 0.401
O5 O 0.126 0.352 0.352
O6 O 0.126 0.516 0.855
O7 O 0.132 0.508 0.569
O8 O 0.143 0.361 0.064
O9 O 0.151 0.030 0.901
O10 O 0.151 0.542 0.961
O11 O 0.158 0.302 0.459
O12 O 0.161 0.806 0.401
O13 O 0.166 0.513 0.248
O14 O 0.169 0.310 0.746
O15 O 0.170 0.046 0.180
O16 O 0.174 0.982 0.575
O17 O 0.183 0.777 0.675
O18 O 0.188 0.839 0.792
O19 O 0.189 0.973 0.296
O20 O 0.198 0.808 0.076
O21 O 0.303 0.530 0.468
O22 O 0.305 0.168 0.961
O23 O 0.321 0.159 0.252
O24 O 0.332 0.504 0.749
O25 O 0.338 0.501 0.352
O26 O 0.351 0.155 0.566
O27 O 0.353 0.125 0.844
O28 O 0.366 0.496 0.065
O29 O 0.458 0.684 0.019
O30 O 0.468 0.828 0.518
O31 O 0.475 0.704 0.732
O32 O 0.477 0.822 0.229
O33 O 0.480 0.639 0.125
O34 O 0.491 0.867 0.632
O35 O 0.493 0.375 0.569
O36 O 0.501 0.136 0.066
O37 O 0.502 0.145 0.349
O38 O 0.502 0.839 0.913
O39 O 0.515 0.622 0.408
O40 O 0.517 0.349 0.853
O41 O 0.524 0.163 0.462
O42 O 0.529 0.314 0.245
O43 O 0.532 0.313 0.959
O44 O 0.537 0.143 0.745
O45 O 0.630 0.879 0.126
O46 O 0.637 0.490 0.625
O47 O 0.653 0.475 0.910
O48 O 0.660 0.846 0.408
O49 O 0.681 0.854 0.020
O50 O 0.686 0.467 0.233
O51 O 0.694 0.451 0.519
O52 O 0.698 0.834 0.735
O53 O 0.783 0.186 0.185
O54 O 0.796 0.013 0.685
O55 O 0.796 0.164 0.902
O56 O 0.806 0.198 0.581
O57 O 0.810 0.047 0.398
O58 O 0.813 0.211 0.292
O59 O 0.814 0.979 0.079
O60 O 0.820 0.972 0.792
O61 O 0.821 0.489 0.730
O62 O 0.828 0.687 0.230
O63 O 0.843 0.502 0.125
O64 O 0.850 0.462 0.007
O65 O 0.854 0.674 0.518
O66 O 0.868 0.640 0.625
O67 O 0.869 0.640 0.913
O68 O 0.875 0.485 0.414
O69 O 0.964 0.205 0.799
O70 O 0.968 0.821 0.577
O71 O 0.969 0.826 0.296
O72 O 0.974 0.179 0.075
```

Results
Energy = -6.949 eV per atom
Total energy after the MP2020 corrections = -7.395 eV per atom
Calculated density = 2.84 Mg/m³
Formation energy from the elements = -250 kJ per mole of atoms